{"formula": "Er6Ta4Al43", "functional": "PBE", "state": "optimized geometry", "formation_energy_ev_per_atom": -0.302, "spacegroup": "No. 193", "e_tot_ev_per_atom": -4.7524, "lattice": [[-0.2793, -0.1809, 11.1240], [-7.1357, -6.2244, -5.8474], [11.5839, -13.3492, 0.0738]], "species": ["Al", "Al", "Al", "Al", "Al", "Al", "Al", "Al", "Al", "Al", "Al", "Al", "Al", "Al", "Al", "Al", "Al", "Al", "Al", "Al", "Al", "Al", "Al", "Al", "Al", "Al", "Al", "Al", "Al", "Al", "Al", "Al", "Al", "Al", "Al", "Al", "Al", "Al", "Al", "Al", "Al", "Al", "Al", "Al", "Al", "Al", "Al", "Al", "Al", "Al", "Al", "Al", "Al", "Al", "Al", "Al", "Al", "Al", "Al", "Al", "Al", "Al", "Al", "Al", "Al", "Al", "Al", "Al", "Al", "Al", "Al", "Al", "Al", "Al", "Al", "Al", "Al", "Al", "Al", "Al", "Al", "Al", "Al", "Al", "Al", "Al", "Ta", "Ta", "Ta", "Ta", "Ta", "Ta", "Ta", "Ta", "Er", "Er", "Er", "Er", "Er", "Er", "Er", "Er", "Er", "Er", "Er", "Er"], "frac_coords": [[0.2471, 0.7529, 0.0000], [0.8407, 0.8407, 0.3850], [0.7435, 0.0000, 0.4697], [0.4048, 0.5540, 0.7500], [0.6050, 0.8427, 0.3368], [0.7435, 0.7435, 0.5303], [0.6050, 0.7623, 0.8368], [0.7623, 0.6050, 0.8368], [0.6667, 0.3333, 0.3736], [0.1593, 0.1593, 0.6150], [0.6050, 0.8427, 0.1632], [0.1491, 0.5952, 0.7500], [0.3950, 0.2377, 0.3368], [0.1573, 0.7623, 0.3368], [0.2565, 0.0000, 0.9697], [0.4941, 0.2471, 0.0000], [0.0000, 0.7435, 0.4697], [0.8407, 0.0000, 0.6150], [0.1573, 0.3950, 0.8368], [0.2471, 0.7529, 0.5000], [0.6667, 0.3333, 0.6264], [0.2565, 0.2565, 0.4697], [0.8509, 0.4048, 0.2500], [0.1471, 0.1471, 0.2500], [0.1573, 0.3950, 0.6632], [0.7623, 0.1573, 0.3368], [0.4048, 0.8509, 0.2500], [0.2377, 0.3950, 0.1632], [0.3333, 0.6667, 0.6264], [0.8427, 0.2377, 0.8368], [0.5059, 0.7529, 0.5000], [0.0000, 0.7435, 0.0303], [0.0000, 0.1471, 0.7500], [0.3950, 0.1573, 0.8368], [0.3333, 0.6667, 0.8736], [0.5540, 0.4048, 0.7500], [0.0000, 0.2565, 0.5303], [0.4941, 0.2471, 0.5000], [0.2377, 0.8427, 0.8368], [0.7623, 0.6050, 0.6632], [0.4460, 0.5952, 0.2500], [0.1593, 0.0000, 0.1150], [0.7529, 0.2471, 0.5000], [0.8427, 0.2377, 0.6632], [0.0000, 0.8529, 0.2500], [0.6050, 0.7623, 0.6632], [0.8529, 0.0000, 0.2500], [0.7529, 0.5059, 0.0000], [0.0000, 0.8407, 0.8850], [0.2565, 0.2565, 0.0303], [0.2377, 0.3950, 0.3368], [0.5540, 0.1491, 0.2500], [0.4460, 0.8509, 0.7500], [0.2471, 0.4941, 0.0000], [0.5059, 0.7529, 0.0000], [0.7529, 0.2471, 0.0000], [0.3950, 0.2377, 0.1632], [0.6667, 0.3333, 0.1264], [0.8529, 0.8529, 0.7500], [0.0000, 0.2565, 0.9697], [0.2471, 0.4941, 0.5000], [0.2565, 0.0000, 0.5303], [0.1471, 0.0000, 0.7500], [0.3333, 0.6667, 0.3736], [0.8427, 0.6050, 0.3368], [0.0000, 0.1593, 0.1150], [0.1593, 0.0000, 0.3850], [0.0000, 0.1593, 0.3850], [0.1491, 0.5540, 0.2500], [0.2377, 0.8427, 0.6632], [0.0000, 0.8407, 0.6150], [0.1593, 0.1593, 0.8850], [0.6667, 0.3333, 0.8736], [0.8407, 0.0000, 0.8850], [0.3950, 0.1573, 0.6632], [0.8407, 0.8407, 0.1150], [0.5952, 0.1491, 0.7500], [0.8509, 0.4460, 0.7500], [0.7435, 0.0000, 0.0303], [0.1573, 0.7623, 0.1632], [0.8427, 0.6050, 0.1632], [0.7623, 0.1573, 0.1632], [0.7529, 0.5059, 0.5000], [0.3333, 0.6667, 0.1264], [0.7435, 0.7435, 0.9697], [0.5952, 0.4460, 0.2500], [0.7257, 0.7257, 0.2500], [0.0000, 0.7257, 0.7500], [0.0000, 0.0000, 0.5000], [0.7257, 0.0000, 0.7500], [0.0000, 0.0000, 0.0000], [0.2743, 0.2743, 0.7500], [0.0000, 0.2743, 0.2500], [0.2743, 0.0000, 0.2500], [0.0000, 0.5301, 0.5963], [0.0000, 0.5301, 0.9037], [0.5301, 0.0000, 0.5963], [0.0000, 0.4699, 0.4037], [0.5301, 0.0000, 0.9037], [0.0000, 0.4699, 0.0963], [0.5301, 0.5301, 0.4037], [0.4699, 0.0000, 0.0963], [0.5301, 0.5301, 0.0963], [0.4699, 0.4699, 0.9037], [0.4699, 0.0000, 0.4037], [0.4699, 0.4699, 0.5963]]}

{"formula": "YErAl4", "functional": "PBE", "state": "optimized geometry", "formation_energy_ev_per_atom": -0.518, "spacegroup": "No. 216", "e_tot_ev_per_atom": -4.8542, "lattice": [[2.1084, -5.0843, 0.7114], [1.1599, -1.8332, 5.1083], [-3.1011, -3.9953, 2.2852]], "species": ["Al", "Al", "Al", "Al", "Er", "Y"], "frac_coords": [[0.6249, 0.1252, 0.6249], [0.6249, 0.6249, 0.1252], [0.6249, 0.6249, 0.6249], [0.1252, 0.6249, 0.6249], [0.2500, 0.2500, 0.2500], [0.0000, 0.0000, 0.0000]]}

{"formula": "YErAl2", "functional": "PBE", "state": "optimized geometry", "formation_energy_ev_per_atom": -0.402, "spacegroup": "No. 225", "e_tot_ev_per_atom": -5.0335, "lattice": [[0.0000, 3.5882, 3.5882], [3.5882, 0.0000, 3.5882], [3.5882, 3.5882, 0.0000]], "species": ["Al", "Al", "Y", "Er"], "frac_coords": [[0.7500, 0.7500, 0.7500], [0.2500, 0.2500, 0.2500], [0.0000, 0.0000, 0.0000], [0.5000, 0.5000, 0.5000]]}

{"formula": "YEr4Al15", "functional": "PBE", "state": "optimized geometry", "formation_energy_ev_per_atom": -0.419, "magnetic_moment_mub_per_cell": 0.0, "spacegroup": "No. 166", "e_tot_ev_per_atom": -4.4651, "lattice": [[-2.5103, 5.8737, -10.7320], [2.2484, 2.3394, -12.0602], [-3.3576, 0.0000, -12.0293]], "species": ["Al", "Al", "Al", "Al", "Al", "Al", "Al", "Al", "Al", "Al", "Al", "Al", "Al", "Al", "Al", "Er", "Er", "Er", "Er", "Y"], "frac_coords": [[0.8830, 0.8830, 0.4336], [0.3648, 0.3648, 0.8694], [0.6352, 0.6352, 0.1306], [0.8830, 0.4336, 0.8830], [0.4336, 0.8830, 0.8830], [0.1170, 0.1170, 0.5664], [0.1306, 0.6352, 0.6352], [0.3648, 0.8694, 0.3648], [0.5000, 0.5000, 0.0000], [0.8694, 0.3648, 0.3648], [0.0000, 0.5000, 0.5000], [0.1170, 0.5664, 0.1170], [0.5664, 0.1170, 0.1170], [0.6352, 0.1306, 0.6352], [0.5000, 0.0000, 0.5000], [0.4001, 0.4001, 0.4001], [0.5999, 0.5999, 0.5999], [0.1312, 0.1312, 0.1312], [0.8688, 0.8688, 0.8688], [0.0000, 0.0000, 0.0000]]}

{"formula": "Er2AlZn", "functional": "PBE", "state": "optimized geometry", "formation_energy_ev_per_atom": -0.382, "spacegroup": "No. 225", "e_tot_ev_per_atom": -3.9167, "lattice": [[0.0000, 3.5621, 3.5621], [3.5621, 0.0000, 3.5621], [3.5621, 3.5621, 0.0000]], "species": ["Al", "Zn", "Er", "Er"], "frac_coords": [[0.5000, 0.5000, 0.5000], [0.0000, 0.0000, 0.0000], [0.2500, 0.2500, 0.2500], [0.7500, 0.7500, 0.7500]]}

{"formula": "Eu4Al", "functional": "PBE", "state": "optimized geometry", "formation_energy_ev_per_atom": 0.329, "magnetic_moment_mub_per_cell": 60.7, "spacegroup": "No. 227", "e_tot_ev_per_atom": -8.6253, "lattice": [[2.0018, -5.6281, -6.2310], [4.1382, -7.3172, 1.9599], [-4.1381, -7.5600, -0.4797]], "species": ["Eu", "Eu", "Eu", "Eu", "Eu", "Eu", "Eu", "Eu", "Al", "Al"], "frac_coords": [[0.8588, 0.8588, 0.4237], [0.8588, 0.8588, 0.8588], [0.8263, 0.3912, 0.3912], [0.4237, 0.8588, 0.8588], [0.3912, 0.3912, 0.3912], [0.8588, 0.4237, 0.8588], [0.3912, 0.3912, 0.8263], [0.3912, 0.8263, 0.3912], [0.2500, 0.2500, 0.2500], [0.0000, 0.0000, 0.0000]]}